A relaxed ZnW4O8 crystal. Source: Materials Project, functional GGA+U.

Calculated volume, Å³ per atom: 14.6
ΔE_f, eV/atom: -1.5580
Energy above the most stable polymorph in this dataset, eV per atom: 0.1373

Cell lengths 7.7726, 7.7726, 7.7726 Å; angles 92.58, 92.58, 155.48 degrees
With the nearest neighbours (Å) after each atom.
Fractional coordinates of all 13 atoms:
Zn 0.0000 0.0000 0.0000  2 Zn 3.30, 8 O 3.36
W 0.1588 0.6594 0.8182  6 O 1.97-2.13
W 0.3406 0.1588 0.4993  6 O 1.97-2.13
W 0.6594 0.8412 0.5007  6 O 1.97-2.13
W 0.8412 0.3406 0.1818  6 O 1.97-2.13
O 0.0362 0.3438 0.3800  3 W 2.09-2.12
O 0.2844 0.3334 0.6178  3 W 1.97-2.13
O 0.3334 0.7156 0.0491  3 W 1.97-2.13
O 0.3438 0.9638 0.3076  3 W 2.09-2.12
O 0.6562 0.0362 0.6924  3 W 2.09-2.12
O 0.6666 0.2844 0.9509  3 W 1.97-2.13
O 0.7156 0.6666 0.3822  3 W 1.97-2.13
O 0.9638 0.6562 0.6200  3 W 2.09-2.12

***

A relaxed V2HgP4O14 crystal. Source: Materials Project, functional GGA+U.

Calculated volume, Å³ per atom: 13.1
ΔE_f, eV/atom: -2.5214

Cell lengths 4.9519, 6.9730, 8.2891 Å; angles 92.89, 94.02, 105.11 degrees
With the nearest neighbours (Å) after each atom.
Fractional coordinates of all 21 atoms:
V 0.0000 0.0000 0.0000  6 O 1.99-2.06
V 0.5000 0.5000 0.5000  6 O 1.97-2.16
Hg 0.0000 0.0000 0.5000  2 O 2.13
P 0.0135 0.6366 0.2569  4 O 1.50-1.61
P 0.3819 0.7598 0.8047  4 O 1.51-1.63
P 0.6181 0.2402 0.1953  4 O 1.51-1.63
P 0.9865 0.3634 0.7431  4 O 1.50-1.61
O 0.1109 0.8083 0.1548  1 P 1.50
O 0.1511 0.2999 0.5980  1 P 1.61
O 0.1730 0.8878 0.8092  1 P 1.53
O 0.2198 0.5345 0.8468  2 P 1.59-1.63
O 0.2448 0.5503 0.3230  1 P 1.51
O 0.3738 0.1861 0.0670  1 P 1.51
O 0.4657 0.7421 0.6289  1 P 1.55
O 0.5343 0.2579 0.3711  1 P 1.55
O 0.6262 0.8139 0.9330  1 P 1.51
O 0.7552 0.4497 0.6770  1 P 1.51
O 0.7802 0.4655 0.1532  2 P 1.59-1.63
O 0.8270 0.1122 0.1908  1 P 1.53
O 0.8489 0.7001 0.4020  1 P 1.61
O 0.8891 0.1917 0.8452  1 P 1.50

***

A relaxed Li3Fe4B4O12 crystal. Source: Materials Project, functional GGA+U.

Calculated volume, Å³ per atom: 10.6
ΔE_f, eV/atom: -2.2963
Energy above the most stable polymorph in this dataset, eV per atom: 0.0090

Cell lengths 5.2417, 9.1028, 11.3961 Å; angles 112.53, 102.70, 90.18 degrees
With the nearest neighbours (Å) after each atom.
Fractional coordinates of all 46 atoms:
Li 0.0000 0.0000 0.0000  3 O 1.92-2.00
Li 0.0313 0.0331 0.7424  4 O 2.01-2.12
Li 0.2191 0.2603 0.4971  4 O 1.89-2.03
Li 0.4978 0.4950 0.9904  3 O 1.89-1.98
Li 0.7106 0.7567 0.4943  4 O 1.92-2.10
Li 0.7589 0.7911 0.2365  4 O 1.93-2.14
Fe 0.2085 0.9114 0.4629  5 O 2.03-2.22
Fe 0.2495 0.6018 0.2147  4 O 1.91-2.07
Fe 0.4785 0.8104 0.9559  4 O 1.98-2.16
Fe 0.5056 0.2022 0.7157  3 O 1.92-2.10
Fe 0.6924 0.4011 0.4585  4 O 1.97-2.19
Fe 0.7388 0.1089 0.2097  5 O 2.03-2.25
Fe 0.9800 0.3146 0.9621  5 O 2.01-2.20
Fe 0.9980 0.6758 0.7101  5 O 1.93-2.11
B 0.0015 0.3507 0.7053  3 O 1.35-1.41
B 0.2045 0.5671 0.4616  3 O 1.35-1.42
B 0.2485 0.9265 0.2015  3 O 1.35-1.43
B 0.4637 0.1463 0.9561  3 O 1.39-1.40
B 0.4909 0.8552 0.7060  3 O 1.39-1.41
B 0.7071 0.0651 0.4550  3 O 1.39-1.40
B 0.7505 0.4438 0.2101  3 O 1.36-1.40
B 0.9688 0.6470 0.9604  3 O 1.36-1.41
O 0.0653 0.7497 0.9100  1 B 1.41
O 0.0958 0.0385 0.1828  1 B 1.35
O 0.1413 0.5496 0.0035  1 B 1.41
O 0.1518 0.8168 0.2472  1 B 1.43
O 0.1927 0.1267 0.9395  1 B 1.39
O 0.2494 0.3438 0.6879  1 B 1.35
O 0.3119 0.6721 0.4153  1 B 1.42
O 0.3218 0.4353 0.4611  1 B 1.35
O 0.3521 0.9688 0.6729  1 B 1.39
O 0.3673 0.7572 0.7488  1 B 1.39
O 0.4708 0.0937 0.4927  1 B 1.39
O 0.4957 0.9084 0.1739  1 B 1.39
O 0.5724 0.2687 0.9313  1 B 1.40
O 0.6048 0.5688 0.1982  1 B 1.40
O 0.6231 0.0421 0.9930  1 B 1.39
O 0.6657 0.3407 0.2565  1 B 1.36
O 0.7156 0.6461 0.9712  1 B 1.36
O 0.7514 0.8383 0.6939  1 B 1.41
O 0.8146 0.9212 0.4432  1 B 1.40
O 0.8336 0.1779 0.4270  1 B 1.39
O 0.8501 0.4651 0.6757  1 B 1.41
O 0.8982 0.2460 0.7502  1 B 1.40
O 0.9743 0.6056 0.5080  1 B 1.41
O 0.9879 0.4314 0.1715  1 B 1.40

***

A relaxed CeMoO2 crystal. Source: Materials Project, functional GGA+U.

Calculated volume, Å³ per atom: 15.8
ΔE_f, eV/atom: -1.9664

Cell lengths 7.5963, 7.5963, 7.5963 Å; angles 129.82, 129.82, 73.70 degrees
With the nearest neighbours (Å) after each atom.
Fractional coordinates of all 16 atoms:
Ce 0.0000 0.0000 0.0000  6 O 2.47
Ce 0.0000 0.0000 0.5000  6 O 2.47
Ce 0.0000 0.5000 0.0000  6 O 2.47
Ce 0.5000 0.0000 0.5000  6 O 2.47
Mo 0.0000 0.5000 0.5000  4 O 2.24
Mo 0.5000 0.0000 0.0000  4 O 2.24
Mo 0.5000 0.5000 0.0000  4 O 2.24
Mo 0.5000 0.5000 0.5000  4 O 2.24
O 0.2027 0.2289 0.5262  2 Mo 2.24, 3 Ce 2.47
O 0.2027 0.6765 0.9738  2 Mo 2.24, 3 Ce 2.47
O 0.2289 0.2027 0.0262  2 Mo 2.24, 3 Ce 2.47
O 0.3235 0.7973 0.5262  2 Mo 2.24, 3 Ce 2.47
O 0.6765 0.2027 0.4738  2 Mo 2.24, 3 Ce 2.47
O 0.7711 0.7973 0.9738  2 Mo 2.24, 3 Ce 2.47
O 0.7973 0.3235 0.0262  2 Mo 2.24, 3 Ce 2.47
O 0.7973 0.7711 0.4738  2 Mo 2.24, 3 Ce 2.47

***

A relaxed Li3MnB2O6 crystal. Source: Materials Project, functional GGA+U.

Calculated volume, Å³ per atom: 9.4
ΔE_f, eV/atom: -2.5328
Energy above the most stable polymorph in this dataset, eV per atom: 0.0000

Cell lengths 5.2601, 8.9982, 10.7598 Å; angles 90.00, 117.43, 90.00 degrees
With the nearest neighbours (Å) after each atom.
Fractional coordinates of all 48 atoms:
Li 0.0064 0.0209 0.1602  4 O 1.93-2.13
Li 0.0064 0.4791 0.6602  4 O 1.93-2.13
Li 0.0492 0.6561 0.8769  5 O 2.02-2.17
Li 0.0492 0.8439 0.3769  5 O 2.02-2.17
Li 0.4308 0.0092 0.6068  4 O 1.97-2.19
Li 0.4308 0.4908 0.1068  4 O 1.97-2.19
Li 0.5692 0.5092 0.8932  4 O 1.97-2.19
Li 0.5692 0.9908 0.3932  4 O 1.97-2.19
Li 0.9508 0.1561 0.6231  5 O 2.02-2.17
Li 0.9508 0.3439 0.1231  5 O 2.02-2.17
Li 0.9936 0.5209 0.3398  4 O 1.93-2.13
Li 0.9936 0.9791 0.8398  4 O 1.93-2.13
Mn 0.4792 0.6836 0.6242  5 O 1.96-2.07
Mn 0.4792 0.8164 0.1242  5 O 1.96-2.07
Mn 0.5208 0.1836 0.8758  5 O 1.96-2.07
Mn 0.5208 0.3164 0.3757  5 O 1.96-2.07
B 0.0485 0.1772 0.3791  3 O 1.37-1.40
B 0.0485 0.3228 0.8791  3 O 1.37-1.40
B 0.4633 0.1623 0.1302  3 O 1.35-1.41
B 0.4633 0.3377 0.6302  3 O 1.35-1.41
B 0.5367 0.6623 0.3698  3 O 1.35-1.41
B 0.5367 0.8377 0.8698  3 O 1.35-1.41
B 0.9515 0.6772 0.1209  3 O 1.37-1.40
B 0.9515 0.8228 0.6209  3 O 1.37-1.40
O 0.1212 0.1832 0.8472  1 B 1.40
O 0.1212 0.3168 0.3472  1 B 1.40
O 0.1821 0.6668 0.0916  1 B 1.39
O 0.1821 0.8332 0.5916  1 B 1.39
O 0.1984 0.0518 0.3814  1 B 1.37
O 0.1984 0.4482 0.8814  1 B 1.37
O 0.3338 0.6752 0.4209  1 B 1.41
O 0.3338 0.8248 0.9209  1 B 1.41
O 0.3517 0.0298 0.1400  1 B 1.35
O 0.3517 0.4702 0.6400  1 B 1.35
O 0.3806 0.2063 0.6739  1 B 1.41
O 0.3806 0.2937 0.1739  1 B 1.41
O 0.6194 0.7063 0.8261  1 B 1.41
O 0.6194 0.7937 0.3261  1 B 1.41
O 0.6483 0.5298 0.3600  1 B 1.35
O 0.6483 0.9702 0.8600  1 B 1.35
O 0.6662 0.1752 0.0791  1 B 1.41
O 0.6662 0.3248 0.5791  1 B 1.41
O 0.8016 0.5518 0.1186  1 B 1.37
O 0.8016 0.9482 0.6186  1 B 1.37
O 0.8179 0.1668 0.4084  1 B 1.39
O 0.8179 0.3332 0.9084  1 B 1.39
O 0.8788 0.6832 0.6528  1 B 1.40
O 0.8788 0.8168 0.1528  1 B 1.40

***

A relaxed NaMoP2O7 crystal. Source: Materials Project, functional GGA+U.

Calculated volume, Å³ per atom: 13.2
ΔE_f, eV/atom: -2.5653

Cell lengths 7.5628, 8.3216, 9.9359 Å; angles 90.00, 111.79, 90.00 degrees
With the nearest neighbours (Å) after each atom.
Fractional coordinates of all 44 atoms:
Na 0.2152 0.0194 0.2139  5 O 2.43-2.66
Na 0.2152 0.4806 0.7139  5 O 2.43-2.66
Na 0.7848 0.5194 0.2861  5 O 2.43-2.66
Na 0.7848 0.9806 0.7861  5 O 2.43-2.66
Mo 0.2434 0.0049 0.7503  6 O 2.10-2.19
Mo 0.2434 0.4951 0.2503  6 O 2.10-2.19
Mo 0.7566 0.5049 0.7497  6 O 2.10-2.19
Mo 0.7566 0.9951 0.2497  6 O 2.10-2.19
P 0.1719 0.7170 0.9538  4 O 1.52-1.63
P 0.1719 0.7830 0.4538  4 O 1.52-1.63
P 0.4268 0.2463 0.0420  4 O 1.51-1.63
P 0.4268 0.2537 0.5420  4 O 1.51-1.63
P 0.5732 0.7463 0.4580  4 O 1.51-1.63
P 0.5732 0.7537 0.9580  4 O 1.51-1.63
P 0.8281 0.2170 0.5462  4 O 1.52-1.63
P 0.8281 0.2830 0.0462  4 O 1.52-1.63
O 0.0408 0.5918 0.8541  1 P 1.52
O 0.0408 0.9082 0.3541  1 P 1.52
O 0.1272 0.6093 0.3977  1 P 1.54
O 0.1272 0.8907 0.8977  1 P 1.54
O 0.1918 0.7088 0.1125  1 P 1.53
O 0.1918 0.7912 0.6125  1 P 1.53
O 0.3169 0.2193 0.8800  1 P 1.53
O 0.3169 0.2807 0.3800  1 P 1.53
O 0.3275 0.1301 0.6001  1 P 1.51
O 0.3275 0.3699 0.1001  1 P 1.51
O 0.3726 0.6666 0.9391  2 P 1.63
O 0.3726 0.8334 0.4391  2 P 1.63
O 0.4738 0.0903 0.1318  1 P 1.54
O 0.4738 0.4097 0.6318  1 P 1.54
O 0.5262 0.5903 0.3682  1 P 1.54
O 0.5262 0.9097 0.8682  1 P 1.54
O 0.6274 0.1666 0.5609  2 P 1.63
O 0.6274 0.3334 0.0609  2 P 1.63
O 0.6725 0.6301 0.8999  1 P 1.51
O 0.6725 0.8699 0.3999  1 P 1.51
O 0.6831 0.7193 0.6200  1 P 1.53
O 0.6831 0.7807 0.1200  1 P 1.53
O 0.8082 0.2088 0.3875  1 P 1.53
O 0.8082 0.2912 0.8875  1 P 1.53
O 0.8728 0.1093 0.1023  1 P 1.54
O 0.8728 0.3907 0.6023  1 P 1.54
O 0.9592 0.0918 0.6459  1 P 1.52
O 0.9592 0.4082 0.1459  1 P 1.52